Computed, not measured: Sr2V2OF10 after structural relaxation at the PBE+U level of DFT.

POSCAR file:
```
Sr2V2OF10
1.0
0.027 10.782 -0.723
-7.127 -7.782 2.331
2.656 0.693 10.433
F V Sr O
40 8 8 4
direct
0.301 0.699 0.392
0.321 0.679 0.746
0.468 0.532 0.290
0.049 0.428 0.922
0.532 0.468 0.710
0.902 0.695 0.638
0.179 0.821 0.246
0.679 0.321 0.254
0.428 0.049 0.078
0.098 0.305 0.362
0.718 0.282 0.896
0.666 0.732 0.871
0.334 0.268 0.129
0.199 0.801 0.892
0.928 0.549 0.422
0.232 0.166 0.371
0.699 0.301 0.608
0.032 0.968 0.790
0.968 0.032 0.210
0.072 0.451 0.578
0.768 0.834 0.629
0.268 0.334 0.871
0.572 0.951 0.922
0.695 0.902 0.362
0.195 0.402 0.138
0.951 0.572 0.078
0.218 0.782 0.604
0.305 0.098 0.638
0.166 0.232 0.629
0.598 0.805 0.138
0.821 0.179 0.754
0.451 0.072 0.422
0.834 0.768 0.371
0.402 0.195 0.862
0.805 0.598 0.862
0.549 0.928 0.578
0.282 0.718 0.104
0.732 0.666 0.129
0.782 0.218 0.396
0.801 0.199 0.108
0.171 0.829 0.066
0.719 0.781 0.250
0.281 0.219 0.750
0.671 0.329 0.434
0.829 0.171 0.934
0.219 0.281 0.250
0.329 0.671 0.566
0.781 0.719 0.750
0.032 0.468 0.250
0.532 0.968 0.250
0.882 0.118 0.544
0.382 0.618 0.956
0.118 0.882 0.456
0.468 0.032 0.750
0.968 0.532 0.750
0.618 0.382 0.044
0.907 0.093 0.952
0.093 0.907 0.048
0.593 0.407 0.452
0.407 0.593 0.548
```

Formation energy   -3518 meV per atom
Total magnetization   0.135 μB/atom

Computed, not measured: Sr5V3O12F after structural relaxation at the PBE+U level of DFT.

POSCAR file:
```
Sr5V3O12F
1.0
5.071 -8.783 0.000
5.071 8.783 0.000
0.000 0.000 7.518
O Sr F V
24 10 2 6
direct
0.832 0.516 0.750
0.484 0.316 0.750
0.660 0.909 0.933
0.528 0.402 0.250
0.660 0.909 0.567
0.402 0.874 0.750
0.684 0.168 0.750
0.874 0.472 0.250
0.598 0.126 0.250
0.126 0.528 0.750
0.340 0.091 0.433
0.751 0.660 0.067
0.249 0.340 0.933
0.909 0.249 0.067
0.168 0.484 0.250
0.751 0.660 0.433
0.909 0.249 0.433
0.249 0.340 0.567
0.340 0.091 0.067
0.091 0.751 0.933
0.516 0.684 0.250
0.316 0.832 0.250
0.472 0.598 0.750
0.091 0.751 0.567
0.667 0.333 0.501
0.333 0.667 0.001
0.751 0.990 0.250
0.239 0.249 0.250
0.990 0.239 0.750
0.761 0.751 0.750
0.010 0.761 0.250
0.667 0.333 0.999
0.249 0.010 0.750
0.333 0.667 0.499
0.000 0.000 0.250
0.000 0.000 0.750
0.030 0.632 0.750
0.368 0.398 0.750
0.632 0.602 0.250
0.398 0.030 0.250
0.970 0.368 0.250
0.602 0.970 0.750
```

Formation energy   -3145 meV per atom
Total magnetization   0.000 μB/atom